[1]
Compound: LiCo2S4
Source: the Materials Project database
Functional: GGA-PBE
Structure: optimized geometry

abc: 6.798 6.798 6.798
angles: 60.00 60.00 60.00
Sites, in units of the cell vectors:
S (0.891, 0.327, 0.891)
S (0.891, 0.891, 0.891)
S (0.327, 0.891, 0.891)
S (0.359, 0.359, 0.923)
S (0.923, 0.359, 0.359)
S (0.359, 0.359, 0.359)
S (0.891, 0.891, 0.327)
S (0.359, 0.923, 0.359)
Co (0.125, 0.125, 0.625)
Co (0.625, 0.125, 0.125)
Co (0.125, 0.625, 0.125)
Co (0.125, 0.125, 0.125)
Li (0.750, 0.750, 0.750)
Li (0.500, 0.500, 0.500)

Results
- Energy above the most stable polymorph in this dataset: 0 meV per atom
- Spin magnetization: 0.01 μB/atom
- ΔH_f (0 K): -831 meV per atom

[2]
Compound: LiCo2S4
Source: the Materials Project database
Functional: GGA-PBE
Structure: optimized geometry

abc: 6.689 6.689 6.724
angles: 120.79 118.69 90.15
Sites, in units of the cell vectors:
S (0.247, 0.237, 0.004)
S (0.253, 0.233, 0.474)
S (0.733, 0.243, 0.496)
S (0.267, 0.757, 0.504)
S (0.741, 0.221, 0.974)
S (0.747, 0.767, 0.526)
S (0.753, 0.763, 0.996)
S (0.259, 0.779, 0.026)
Co (0.000, 0.000, 0.000)
Co (0.500, 0.000, 0.500)
Co (0.626, 0.376, 0.250)
Co (0.374, 0.624, 0.750)
Li (0.000, 0.500, 0.000)
Li (0.000, 0.000, 0.500)

Results
- Energy above the most stable polymorph in this dataset: 159 meV per atom
- Spin magnetization: 0.00 μB/atom
- ΔH_f (0 K): -673 meV per atom

[3]
Compound: LiCoS2
Source: the Materials Project database
Functional: GGA-PBE
Structure: optimized geometry

abc: 6.515 6.515 6.515
angles: 30.42 30.42 30.42
Sites, in units of the cell vectors:
Li (0.855, 0.855, 0.855)
S (0.726, 0.726, 0.726)
S (0.268, 0.268, 0.268)
Co (0.999, 0.999, 0.999)

Results
- Energy above the most stable polymorph in this dataset: 47 meV per atom
- Spin magnetization: 0.00 μB/atom
- ΔH_f (0 K): -962 meV per atom

> What is the energy above the most stable polymorph in this dataset in the second record?

159 meV per atom